#i
SrC2O4: optimized geometry, PBE-GGA.

Unit cell a=5.041 b=6.837 c=11.539 alpha=90.00 beta=90.00 gamma=90.00
Space group P2_12_12_1 (No. 19)
One atom of each set of equivalent atoms:
Sr  0.008  0.005  0.430 (multiplicity 4)
C  0.172  0.384  0.805 (multiplicity 4)
C  0.179  0.420  0.330 (multiplicity 4)
O  0.107  0.318  0.245 (multiplicity 4)
O  0.119  0.280  0.895 (multiplicity 4)
O  0.122  0.347  0.701 (multiplicity 4)
O  0.137  0.373  0.436 (multiplicity 4)

Output
- Spin magnetization: 0.0 μB per formula unit
- V: 398 Å³/cell



#ii
SrC2O4: optimized geometry, PBE-GGA.

Unit cell a=6.905 b=7.455 c=8.779 alpha=90.00 beta=90.00 gamma=90.00
Space group P2_12_12_1 (No. 19)
One atom of each set of equivalent atoms:
Sr  0.003  0.239  0.171 (multiplicity 4)
C  0.118  0.556  0.693 (multiplicity 4)
C  0.229  0.137  0.509 (multiplicity 4)
O  0.122  0.682  0.598 (multiplicity 4)
O  0.132  0.061  0.407 (multiplicity 4)
O  0.157  0.920  0.108 (multiplicity 4)
O  0.250  0.494  0.776 (multiplicity 4)

Output
- Spin magnetization: 2.0 μB per formula unit
- V: 452 Å³/cell



Structures ranked by computed energy, the most stable listed first: #i, #ii.



#i
TbCO4: optimized geometry, PBE-GGA.

Unit cell a=4.894 b=7.169 c=8.778 alpha=90.00 beta=90.00 gamma=90.00
Space group P2_12_12_1 (No. 19)
One atom of each set of equivalent atoms:
Tb  0.028  0.122  0.160 (multiplicity 4)
C  0.007  0.048  0.825 (multiplicity 4)
O  0.036  0.808  0.140 (multiplicity 4)
O  0.042  0.451  0.794 (multiplicity 4)
O  0.181  0.617  0.588 (multiplicity 4)
O  0.237  0.924  0.366 (multiplicity 4)

Output
- Spin magnetization: 1.0 μB per formula unit
- V: 308 Å³/cell



#ii
TbCO4: optimized geometry, PBE-GGA.

Unit cell a=12.1471 b=12.1471 c=9.7130 alpha=90.00 beta=90.00 gamma=120.00
Space group P-6 (No. 174)
One atom of each set of equivalent atoms:
Tb  0.1026  0.5457  0.2439 (multiplicity 6)
Tb  0.1122  0.8815  0.2602 (multiplicity 6)
Tb  0.4369  0.2215  0.2432 (multiplicity 6)
C  0.1632  0.4691  0.5000 (multiplicity 3)
C  0.2006  0.1801  0.0000 (multiplicity 3)
C  0.2038  0.1115  0.5000 (multiplicity 3)
C  0.2258  0.4616  0.0000 (multiplicity 3)
C  0.4904  0.1382  0.5000 (multiplicity 3)
C  0.5522  0.1284  0.0000 (multiplicity 3)
O  0.0000  0.0000  0.2423 (multiplicity 2)
O  0.0012  0.6592  0.3083 (multiplicity 6)
O  0.0309  0.8590  0.5000 (multiplicity 3)
O  0.0875  0.9049  0.0000 (multiplicity 3)
O  0.1584  0.5732  0.5000 (multiplicity 3)
O  0.1602  0.5192  0.0000 (multiplicity 3)
O  0.1631  0.4188  0.3831 (multiplicity 6)
O  0.1761  0.7422  0.1165 (multiplicity 6)
O  0.2339  0.0823  0.3832 (multiplicity 6)
O  0.2513  0.1804  0.1166 (multiplicity 6)
O  0.3253  0.0022  0.1902 (multiplicity 6)
O  0.3333  0.6667  0.2554 (multiplicity 2)
O  0.4860  0.2431  0.5000 (multiplicity 3)
O  0.4908  0.0889  0.3824 (multiplicity 6)
O  0.4961  0.1950  0.0000 (multiplicity 3)
O  0.5158  0.4206  0.1161 (multiplicity 6)
O  0.6667  0.3333  0.2529 (multiplicity 2)

Output
- Spin magnetization: 1.0 μB per formula unit
- V: 1241 Å³/cell



Structures ranked by computed energy, the most stable listed first: #ii, #i.